1.
Here is a relaxed Ti4Cr2Ge5 crystal from the Materials Project. Energies are from PBE.

Its formation enthalpy at 0 K is -0.482 eV per atom. For the magnetic moment, the calculation gives 0.00 μB per atom. Its final energy is -7.21 eV per atom. The energy above the most stable polymorph in this dataset is 0 meV per atom.

It has space group Ibam (No. 72), with a = 7.857 Å, b = 16.508 Å, c = 5.047 Å, α = 90.00°, β = 90.00° and γ = 90.00°. Symmetry generates all atoms from Ti at (0.108, 0.143, 0.000), Ti at (0.240, 0.436, 0.000), Cr at (0.000, 0.307, 0.250), Ge at (0.000, 0.000, 0.250), Ge at (0.095, 0.428, 0.500) and Ge at (0.201, 0.214, 0.500).

---

2.
Here is a relaxed Ti4Cr2Ge5 crystal from the Materials Project. Energies are from PBE.

Its formation enthalpy at 0 K is -0.342 eV per atom. For the magnetic moment, the calculation gives 0.11 μB per atom. Its final energy is -7.07 eV per atom. The energy above the most stable polymorph in this dataset is 139 meV per atom.

It has space group C2/m (No. 12), with a = 9.752 Å, b = 15.658 Å, c = 5.192 Å, α = 90.00°, β = 121.27° and γ = 90.00°. Symmetry generates all atoms from Ti at (0.000, 0.000, 0.242), Ti at (0.220, 0.411, 0.721), Ti at (0.250, 0.250, 0.000), Cr at (0.000, 0.350, 0.000), Cr at (0.250, 0.250, 0.500), Ge at (0.000, 0.173, 0.000), Ge at (0.000, 0.290, 0.500), Ge at (0.002, 0.500, 0.240) and Ge at (0.198, 0.108, 0.691).

---

3.
Here is a relaxed YCr6Ge6 crystal from the Materials Project. Energies are from PBE.

Its formation enthalpy at 0 K is -0.193 eV per atom. For the magnetic moment, the calculation gives 0.00 μB per atom. Its final energy is -7.28 eV per atom.

It has space group P6/mmm (No. 191), with a = 5.1142 Å, b = 5.1142 Å, c = 8.3237 Å, α = 90.00°, β = 90.00° and γ = 120.00°. Symmetry generates all atoms from Y at (0.0000, 0.0000, 0.0000), Cr at (0.0000, 0.5000, 0.2510), Ge at (0.0000, 0.0000, 0.3462), Ge at (0.3333, 0.6667, 0.0000) and Ge at (0.3333, 0.6667, 0.5000).

---

4.
Here is a relaxed ZrCrGe2 crystal from the Materials Project. Energies are from PBE.

Its formation enthalpy at 0 K is -0.468 eV per atom. For the magnetic moment, the calculation gives 0.00 μB per atom. Its final energy is -7.33 eV per atom.

It has space group Pbam (No. 55), with a = 9.365 Å, b = 10.116 Å, c = 8.207 Å, α = 90.00°, β = 90.00° and γ = 90.00°. Symmetry generates all atoms from Zr at (0.166, 0.179, 0.000), Zr at (0.171, 0.453, 0.245), Cr at (0.000, 0.000, 0.245), Cr at (0.083, 0.755, 0.250), Ge at (0.041, 0.622, 0.000), Ge at (0.045, 0.624, 0.500), Ge at (0.125, 0.904, 0.500), Ge at (0.132, 0.898, 0.000) and Ge at (0.168, 0.182, 0.343).

---

5.
Here is a relaxed CrH3 crystal from the Materials Project. Energies are from PBE.

Its formation enthalpy at 0 K is 0.088 eV per atom. For the magnetic moment, the calculation gives 0.60 μB per atom. Its final energy is -4.74 eV per atom.

It has space group Pm-3m (No. 221), with a = 2.764 Å, b = 2.764 Å, c = 2.764 Å, α = 90.00°, β = 90.00° and γ = 90.00°. Symmetry generates all atoms from Cr at (0.000, 0.000, 0.000) and H at (0.000, 0.500, 0.500).

---

6.
Here is a relaxed Cr3H crystal from the Materials Project. Energies are from PBE.

Its formation enthalpy at 0 K is 0.729 eV per atom. For the magnetic moment, the calculation gives 0.03 μB per atom. Its final energy is -7.31 eV per atom.

It has space group I4/mmm (No. 139), with a = 3.189 Å, b = 3.189 Å, c = 7.980 Å, α = 90.00°, β = 90.00° and γ = 90.00°. Symmetry generates all atoms from Cr at (0.000, 0.000, 0.000), Cr at (0.000, 0.500, 0.250) and H at (0.000, 0.000, 0.500).

---

7.
Here is a relaxed CrH crystal from the Materials Project. Energies are from PBE.

Its formation enthalpy at 0 K is 0.308 eV per atom. For the magnetic moment, the calculation gives 0.01 μB per atom. Its final energy is -6.13 eV per atom.

It has space group P6_3/mmc (No. 194), with a = 2.6852 Å, b = 2.6852 Å, c = 4.6501 Å, α = 90.00°, β = 90.00° and γ = 120.00°. Symmetry generates all atoms from Cr at (0.0000, 0.0000, 0.0000) and H at (0.3333, 0.6667, 0.2500).

---

8.
Here is a relaxed CrH crystal from the Materials Project. Energies are from PBE.

Its formation enthalpy at 0 K is -0.058 eV per atom. Its final energy is -6.49 eV per atom.

It has space group Fm-3m (No. 225), with a = 3.779 Å, b = 3.779 Å, c = 3.779 Å, α = 90.00°, β = 90.00° and γ = 90.00°. Symmetry generates all atoms from Cr at (0.000, 0.000, 0.000) and H at (0.000, 0.000, 0.500).